Below is an optimized crystal structure of K2MgH8S2O12, with properties calculated at the r2SCAN level.

Results
Energy of formation: -1.613 eV/atom
Crystal system: monoclinic

a = 7.5401 Å, b = 7.5401 Å, c = 9.8065 Å
α = 85.73°, β = 85.73°, γ = 77.33°
Last column: nearest neighbours and their distance in Å.
Positions (direct):
1 S 0.7120 0.7011 0.0448  4 O 1.46-1.49
2 S 0.2038 0.2218 0.4804  4 O 1.47-1.48
3 S 0.2989 0.2880 0.9552  4 O 1.46-1.49
4 S 0.7782 0.7962 0.5196  4 O 1.47-1.48
5 O 0.0144 0.0118 0.2113  2 H 0.98
6 O 0.7920 0.5239 0.1165  1 S 1.49, 1 H 1.67
7 O 0.3821 0.7045 0.3602  2 H 0.98-0.99
8 O 0.5332 0.7802 0.1156  1 S 1.49
9 O 0.6188 0.3027 0.6422  2 H 0.99
10 O 0.6870 0.6737 0.9026  1 S 1.46
11 O 0.3418 0.3301 0.4363  1 S 1.48
12 O 0.9409 0.7587 0.6022  1 S 1.48
13 O 0.6658 0.9777 0.5454  1 S 1.47
14 O 0.1741 0.1655 0.9444  1 S 1.47
15 O 0.9882 0.9856 0.7887  2 H 0.98
16 O 0.6973 0.3812 0.3578  2 H 0.99
17 O 0.4761 0.2080 0.8835  1 S 1.49, 1 H 1.67
18 O 0.2955 0.6179 0.6398  2 H 0.98-0.99
19 O 0.2248 0.7752 0.0000  2 H 0.99
20 O 0.2413 0.0591 0.3978  1 S 1.48
21 O 0.3263 0.3130 0.0974  1 S 1.46
22 O 0.0223 0.3342 0.4546  1 S 1.47
23 O 0.2198 0.4668 0.8844  1 S 1.49
24 O 0.6699 0.6582 0.5637  1 S 1.48
25 O 0.7825 0.2175 0.0000  2 H 0.99
26 O 0.2122 0.1673 0.6275  1 S 1.47
27 O 0.8327 0.7878 0.3725  1 S 1.47
28 O 0.8345 0.8259 0.0556  1 S 1.47
29 H 0.1730 0.6691 0.6080  1 O 0.98
30 H 0.4505 0.7242 0.2725  1 O 0.99
31 H 0.3420 0.7711 0.0401  1 O 0.99
32 H 0.0634 0.0495 0.7250  1 O 0.98
33 H 0.5523 0.2791 0.7298  1 O 0.99
34 H 0.2758 0.5495 0.7275  1 O 0.99
35 H 0.7790 0.3341 0.0403  1 O 0.99
36 H 0.1005 0.0507 0.2669  1 O 0.98
37 H 0.9493 0.8995 0.7331  1 O 0.98
38 H 0.3309 0.8270 0.3920  1 O 0.98
39 H 0.9505 0.9366 0.2750  1 O 0.98
40 H 0.6659 0.2210 0.9597  1 O 0.99
41 H 0.8178 0.3460 0.3970  1 O 0.99
42 H 0.2289 0.6580 0.9599  1 O 0.99
43 H 0.6540 0.1822 0.6030  1 O 0.99
44 H 0.7209 0.4477 0.2702  1 O 0.99
45 K 0.9086 0.4216 0.7432  8 O 2.74-3.05, 1 H 2.81
46 K 0.1046 0.5679 0.2410  7 O 2.65-2.95, 2 H 2.80-2.93
47 K 0.4321 0.8954 0.7590  7 O 2.65-2.95, 2 H 2.80-2.93
48 K 0.5784 0.0914 0.2568  8 O 2.74-3.05, 1 H 2.81
49 Mg 0.0019 0.9981 0.0000  6 O 2.02-2.10
50 Mg 0.5000 0.5000 0.5000  6 O 2.06-2.09